Entry 1:
# Li4Ti2Mn3Co3O16

A relaxed structure of Li4Ti2Mn3Co3O16 (GGA+U, the Materials Project).

Cell lengths 5.8654, 5.8882, 9.4944 Å; angles 91.18, 90.69, 119.51 degrees
Space group P1 (No. 1)
Symmetry-distinct sites (fractional):
Li 0.0000 0.0000 0.0000
Li 0.0051 0.9935 0.5015
Li 0.3352 0.6628 0.9027
Li 0.6687 0.3214 0.4054
Ti 0.3354 0.6500 0.5054
Ti 0.6678 0.3336 0.0039
Mn 0.1720 0.8246 0.2196
Mn 0.1813 0.3415 0.2233
Mn 0.3520 0.1682 0.7229
Co 0.6636 0.8377 0.2264
Co 0.8384 0.6556 0.7218
Co 0.8412 0.1709 0.7246
O 0.0247 0.0064 0.8122
O 0.0245 0.0125 0.3123
O 0.0455 0.4945 0.3537
O 0.1841 0.8333 0.6017
O 0.1855 0.3297 0.6055
O 0.3224 0.6503 0.1154
O 0.3446 0.1880 0.0993
O 0.4820 0.5078 0.3456
O 0.4852 0.9522 0.3468
O 0.5174 0.4703 0.8458
O 0.5179 0.0387 0.8487
O 0.6558 0.3162 0.6136
O 0.6743 0.8245 0.6015
O 0.8369 0.6698 0.1005
O 0.8441 0.1767 0.1038
O 0.9636 0.4783 0.8469

- Calculated total energy: -6.8249 eV per atom
- Crystal system: triclinic
- ΔH_f (0 K): -60.6 eV/f.u.



Entry 2:
# Li4Ti3Mn3Co2O16

A relaxed structure of Li4Ti3Mn3Co2O16 (GGA+U, the Materials Project).

Cell lengths 5.8706, 5.8793, 9.7281 Å; angles 89.88, 89.59, 60.28 degrees
Space group P1 (No. 1)
Symmetry-distinct sites (fractional):
Li 0.0000 0.0000 0.0000
Li 0.9997 0.0074 0.5012
Li 0.3199 0.3303 0.8933
Li 0.6550 0.6679 0.3957
Ti 0.1486 0.6653 0.2173
Ti 0.6518 0.1781 0.2197
Ti 0.8198 0.8333 0.7166
Mn 0.1657 0.1654 0.2163
Mn 0.3280 0.8325 0.7178
Mn 0.8220 0.3389 0.7180
Co 0.3276 0.3360 0.4949
Co 0.6600 0.6640 0.9921
O 0.0275 0.4806 0.3349
O 0.1518 0.6870 0.6087
O 0.1530 0.1621 0.6123
O 0.3134 0.8435 0.1090
O 0.3273 0.3317 0.1072
O 0.4734 0.0345 0.3335
O 0.4779 0.4818 0.3320
O 0.5056 0.5181 0.8310
O 0.5063 0.9655 0.8330
O 0.6553 0.6641 0.6097
O 0.6775 0.1606 0.6086
O 0.8381 0.8373 0.1088
O 0.8419 0.3150 0.1084
O 0.9535 0.5175 0.8328
O 0.9936 0.0061 0.8149
O 0.9975 0.0041 0.3161

- Calculated total energy: -7.1540 eV per atom
- Crystal system: triclinic
- ΔH_f (0 K): -67.4 eV/f.u.



Entry 3:
# Li4Mn3V2Co3O16

A relaxed structure of Li4Mn3V2Co3O16 (GGA+U, the Materials Project).

Cell lengths 10.1475, 5.8463, 9.4956 Å; angles 90.00, 90.73, 90.00 degrees
Space group Cm (No. 8)
Symmetry-distinct sites (fractional):
Li 0.0000 0.0000 0.0000
Li 0.0056 0.0000 0.5108
Li 0.1677 0.5000 0.9125
Li 0.3335 0.0000 0.4089
Mn 0.0862 0.2537 0.2275
Mn 0.1787 0.0000 0.7294
V 0.1751 0.5000 0.5084
V 0.3429 0.0000 0.9948
Co 0.3328 0.5000 0.2223
Co 0.4193 0.2422 0.7246
O 0.0001 0.0000 0.3199
O 0.0096 0.0000 0.8106
O 0.0216 0.5000 0.3473
O 0.0991 0.2566 0.5985
O 0.1632 0.0000 0.1156
O 0.1672 0.5000 0.1235
O 0.2373 0.2770 0.3516
O 0.2523 0.2150 0.8587
O 0.3311 0.5000 0.5912
O 0.3320 0.0000 0.6180
O 0.4207 0.2512 0.1115
O 0.4799 0.0000 0.8752

- Calculated total energy: -6.5922 eV per atom
- Crystal system: monoclinic
- ΔH_f (0 K): -55.1 eV/f.u.